# 1
Computed, not measured: a relaxed TbMnO3 crystal at the r2SCAN level of DFT.

Unit cell a=5.271 b=5.635 c=7.567 alpha=90.00 beta=90.00 gamma=90.00
Fractional positions:
O 0.300 0.691 0.554
O 0.300 0.691 0.946
O 0.800 0.809 0.054
O 0.394 0.967 0.250
O 0.700 0.309 0.054
O 0.606 0.033 0.750
O 0.800 0.809 0.446
O 0.894 0.533 0.750
O 0.700 0.309 0.446
O 0.200 0.191 0.554
O 0.106 0.467 0.250
O 0.200 0.191 0.946
Tb 0.518 0.572 0.250
Tb 0.982 0.072 0.250
Tb 0.018 0.928 0.750
Tb 0.482 0.428 0.750
Mn 0.500 0.000 0.500
Mn 0.000 0.500 0.500
Mn 0.500 0.000 0.000
Mn 0.000 0.500 0.000

## Properties
spin magnetization: 4.00 μB per formula unit
SG: Pnma (62)
total energy: -15.859 eV per atom


# 2
Computed, not measured: a relaxed Rb3MnBr5 crystal at the r2SCAN level of DFT.

Unit cell a=10.030 b=10.030 c=10.030 alpha=125.04 beta=125.04 gamma=81.48
Fractional positions:
Rb 0.159 0.659 0.818
Rb 0.659 0.841 0.500
Rb 0.841 0.341 0.182
Rb 0.750 0.750 0.000
Rb 0.341 0.159 0.500
Rb 0.250 0.250 0.000
Br 0.701 0.500 0.500
Br 0.000 0.799 0.500
Br 0.201 0.701 0.201
Br 0.500 0.000 0.201
Br 0.000 0.000 0.000
Br 0.500 0.500 0.000
Br 0.299 0.500 0.500
Br 0.500 0.000 0.799
Br 0.799 0.299 0.799
Br 0.000 0.201 0.500
Mn 0.250 0.750 0.500
Mn 0.750 0.250 0.500

## Properties
spin magnetization: 5.00 μB per formula unit
SG: I4/mcm (140)
total energy: -15.414 eV per atom


# 3
Computed, not measured: a relaxed Ca2H6Os crystal at the r2SCAN level of DFT.

Unit cell a=5.112 b=5.112 c=5.112 alpha=60.00 beta=60.00 gamma=60.00
Fractional positions:
H 0.237 0.763 0.237
H 0.237 0.237 0.763
H 0.237 0.763 0.763
H 0.763 0.763 0.237
H 0.763 0.237 0.237
H 0.763 0.237 0.763
Ca 0.250 0.250 0.250
Ca 0.750 0.750 0.750
Os 0.000 0.000 0.000

## Properties
spin magnetization: 0.00 μB per formula unit
SG: Fm-3m (225)
total energy: -10.464 eV per atom


# 4
Computed, not measured: a relaxed PrGePd crystal at the r2SCAN level of DFT.

Unit cell a=4.492 b=7.703 c=22.109 alpha=90.00 beta=90.00 gamma=90.00
Fractional positions:
Ge 0.250 0.092 0.072
Ge 0.750 0.586 0.104
Ge 0.750 0.908 0.928
Ge 0.250 0.414 0.896
Ge 0.250 0.086 0.396
Ge 0.250 0.086 0.270
Ge 0.250 0.408 0.572
Ge 0.750 0.914 0.604
Ge 0.750 0.586 0.230
Ge 0.250 0.414 0.770
Ge 0.750 0.914 0.730
Ge 0.750 0.592 0.428
Pd 0.750 0.917 0.066
Pd 0.750 0.922 0.406
Pd 0.750 0.582 0.762
Pd 0.250 0.082 0.738
Pd 0.750 0.583 0.566
Pd 0.750 0.918 0.262
Pd 0.250 0.422 0.094
Pd 0.750 0.578 0.906
Pd 0.250 0.083 0.934
Pd 0.250 0.078 0.594
Pd 0.250 0.417 0.434
Pd 0.250 0.418 0.238
Pr 0.750 0.290 0.667
Pr 0.750 0.208 0.834
Pr 0.250 0.718 0.002
Pr 0.250 0.790 0.833
Pr 0.250 0.782 0.502
Pr 0.250 0.792 0.166
Pr 0.250 0.710 0.333
Pr 0.250 0.708 0.666
Pr 0.750 0.282 0.998
Pr 0.750 0.218 0.498
Pr 0.750 0.210 0.167
Pr 0.750 0.292 0.334

## Properties
spin magnetization: 0.00 μB per formula unit
SG: Pnma (62)
total energy: -23.071 eV per atom


# 5
Computed, not measured: a relaxed In5AgS8 crystal at the r2SCAN level of DFT.

Unit cell a=7.696 b=7.696 c=7.696 alpha=60.00 beta=60.00 gamma=60.00
Fractional positions:
S 0.382 0.382 0.853
S 0.866 0.866 0.866
S 0.382 0.382 0.382
S 0.853 0.382 0.382
S 0.402 0.866 0.866
S 0.382 0.853 0.382
S 0.866 0.866 0.402
S 0.866 0.402 0.866
In 0.000 0.000 0.000
In 0.619 0.619 0.143
In 0.619 0.143 0.619
In 0.619 0.619 0.619
In 0.143 0.619 0.619
Ag 0.250 0.250 0.250

## Properties
spin magnetization: 0.00 μB per formula unit
SG: F-43m (216)
total energy: -14.883 eV per atom


# 6
Computed, not measured: a relaxed K2NaH5C2O8 crystal at the r2SCAN level of DFT.

Unit cell a=7.790 b=9.235 c=11.471 alpha=90.00 beta=90.00 gamma=90.00
Fractional positions:
K 0.989 0.702 0.617
K 0.989 0.202 0.883
K 0.511 0.202 0.883
K 0.511 0.702 0.617
K 0.489 0.298 0.383
K 0.011 0.298 0.383
K 0.489 0.798 0.117
K 0.011 0.798 0.117
O 0.750 0.238 0.557
O 0.750 0.200 0.249
O 0.750 0.738 0.943
O 0.750 0.328 0.740
O 0.750 0.516 0.376
O 0.750 0.746 0.444
O 0.250 0.984 0.876
O 0.541 0.031 0.661
O 0.250 0.522 0.412
O 0.250 0.762 0.443
O 0.750 0.016 0.124
O 0.250 0.262 0.057
O 0.250 0.800 0.751
O 0.959 0.531 0.839
O 0.750 0.246 0.056
O 0.041 0.469 0.161
O 0.541 0.531 0.839
O 0.459 0.469 0.161
O 0.750 0.478 0.588
O 0.250 0.754 0.944
O 0.250 0.672 0.260
O 0.041 0.969 0.339
O 0.959 0.031 0.661
O 0.750 0.700 0.251
O 0.250 0.484 0.624
O 0.250 0.172 0.240
O 0.750 0.978 0.912
O 0.250 0.300 0.749
O 0.250 0.254 0.556
O 0.250 0.022 0.088
O 0.750 0.828 0.760
O 0.459 0.969 0.339
H 0.387 0.897 0.379
H 0.621 0.466 0.798
H 0.750 0.997 0.032
H 0.879 0.466 0.798
H 0.379 0.534 0.202
H 0.113 0.897 0.379
H 0.879 0.966 0.702
H 0.750 0.497 0.468
H 0.121 0.034 0.298
H 0.121 0.534 0.202
H 0.887 0.103 0.621
H 0.613 0.603 0.879
H 0.887 0.603 0.879
H 0.379 0.034 0.298
H 0.387 0.397 0.121
H 0.613 0.103 0.621
H 0.621 0.966 0.702
H 0.250 0.503 0.532
H 0.250 0.003 0.968
H 0.113 0.397 0.121
C 0.250 0.153 0.128
C 0.750 0.347 0.628
C 0.750 0.662 0.357
C 0.750 0.847 0.872
C 0.750 0.162 0.143
C 0.250 0.338 0.643
C 0.250 0.653 0.372
C 0.250 0.838 0.857
Na 0.250 0.041 0.666
Na 0.750 0.959 0.334
Na 0.250 0.541 0.834
Na 0.750 0.459 0.166

## Properties
spin magnetization: 0.00 μB per formula unit
SG: Pnma (62)
total energy: -7.112 eV per atom